4
Lattice="0.000 3.476 3.476 3.476 0.000 3.476 3.476 3.476 0.000" Properties=species:S:1:pos:R:3 comment="Sm2NiRu (PBE, optimized geometry)" magmom_total_mub_per_cell=0.03 e_form_ev_per_atom=-0.252 dft_energy_ev_per_cell=-25.5 pbc="T T T"
Sm 1.738 1.738 1.738
Ru 0.000 0.000 0.000
Sm 5.214 5.214 5.214
Ni 3.476 3.476 3.476

4
Lattice="3.609 -0.442 3.036 -0.738 0.526 4.649 0.230 -3.757 2.875" Properties=species:S:1:pos:R:3 comment="Tm2NiRu (PBE, optimized geometry)" e_form_ev_per_atom=-0.481 dft_energy_ev_per_cell=-25.9 pbc="T T T"
Tm 0.775 -0.918 2.640
Ni 1.550 -1.837 5.280
Ru 0.000 0.000 0.000
Tm 2.325 -2.755 7.919

6
Lattice="4.598 -2.627 0.000 4.598 2.627 0.000 3.096 0.000 4.296" Properties=species:S:1:pos:R:3 comment="Y2NiRu3 (PBE, optimized geometry)" e_form_ev_per_atom=-0.349 dft_energy_ev_per_cell=-48.6 pbc="T T T"
Ni 6.146 0.000 2.148
Y 10.769 0.000 3.764
Ru 4.598 0.000 0.000
Ru 3.847 -1.314 2.148
Ru 3.847 1.314 2.148
Y 1.522 0.000 0.532

4
Lattice="4.489 0.378 1.762 1.087 3.541 3.112 0.872 -1.043 4.642" Properties=species:S:1:pos:R:3 comment="Y2NiRu (PBE, optimized geometry)" e_form_ev_per_atom=-0.361 dft_energy_ev_per_cell=-29.4 pbc="T T T"
Y 4.836 2.157 7.137
Y 1.612 0.719 2.379
Ni 3.224 1.438 4.758
Ru 0.000 0.000 0.000

68
Lattice="-3.150 -8.097 3.956 2.244 -4.764 -7.962 10.581 4.460 6.036" Properties=species:S:1:pos:R:3 comment="Ni9S8 (PBE, optimized geometry)" de_polymorph_mev_per_atom=102 magmom_total_mub_per_cell=0.03 energy_corrected_mp2020_ev_per_atom=-5.52 e_form_ev_per_atom=-0.509 dft_energy_ev_per_cell=-359.0 pbc="T T T"
S 0.142 -3.886 0.794
Ni 1.190 -2.395 -3.954
Ni 1.736 -1.621 0.278
S 6.930 -4.026 0.129
Ni 11.182 -4.338 0.024
S 7.643 -1.082 6.967
Ni 8.102 -2.425 -0.888
S 5.127 -8.097 2.123
Ni 8.852 -0.448 0.373
S 3.682 -5.551 0.207
Ni 8.710 -2.213 5.121
Ni 1.741 -3.681 -6.089
Ni 9.979 -1.422 2.321
S 6.792 -0.667 0.881
Ni -2.592 -9.190 2.104
Ni 2.266 -6.959 -0.921
Ni 0.972 -11.942 -2.846
S 0.198 -7.074 -0.134
Ni 1.982 -9.804 -2.160
S 4.142 -5.648 5.873
S 5.378 -4.913 3.128
S 9.056 3.115 4.921
Ni 0.435 -5.071 -1.217
Ni 6.672 -4.490 -3.818
Ni 7.883 -5.011 -1.603
S 7.690 -4.113 6.060
Ni 9.826 2.570 6.925
S 3.946 0.998 2.052
Ni 3.845 -3.302 -1.483
Ni 0.770 -4.504 2.912
Ni 4.164 -6.698 3.839
S 2.328 -3.307 3.934
S -1.036 -7.910 3.023
S 10.537 0.568 1.197
S 4.892 -1.446 -2.062
S 1.637 -3.085 -1.878
Ni 10.374 -6.499 1.118
S 1.438 -6.280 -2.860
Ni 0.225 -8.093 -2.166
Ni 10.477 -0.329 -1.473
S 6.584 -7.217 -1.106
S 0.981 -9.369 -3.992
Ni 7.409 -1.441 2.950
S 8.346 -6.500 2.008
Ni 5.475 -5.244 -1.013
S 5.365 -1.698 3.960
Ni 3.340 -4.493 2.280
Ni 4.996 -0.972 1.989
Ni 6.165 -2.907 8.099
S 4.627 -4.733 -3.004
S 8.954 -0.251 4.000
Ni 4.679 -7.428 0.040
Ni 4.380 -3.673 4.774
Ni 2.175 -4.041 0.170
Ni 5.644 -2.232 -0.133
S 8.759 -3.194 3.053
Ni 2.072 -5.269 5.085
Ni 4.913 -2.729 -3.886
Ni 6.952 -1.500 -2.895
S 3.692 -2.484 0.989
S 10.123 -2.374 0.108
S 3.510 -8.885 -0.989
Ni 6.340 -2.507 5.676
S -0.054 -10.259 -1.137
S 2.983 -5.505 -5.894
S 2.108 -6.265 3.042
Ni 6.208 -5.562 5.077
S 8.294 -3.262 -2.923

35
Lattice="5.954 -5.151 0.000 5.954 5.151 0.000 1.498 0.000 7.729" Properties=species:S:1:pos:R:3 comment="Ni17S18 (PBE, optimized geometry)" magmom_total_mub_per_cell=0.02 energy_corrected_mp2020_ev_per_atom=-5.48 e_form_ev_per_atom=-0.545 dft_energy_ev_per_cell=-182.7 pbc="T T T"
S 2.904 -1.720 2.821
S 4.392 0.000 0.239
Ni 5.954 -1.806 0.000
Ni 6.703 -3.319 3.864
Ni 8.139 1.660 1.374
S 9.014 0.000 7.490
S 7.363 1.751 5.412
S 4.529 0.000 4.945
Ni 11.071 0.000 6.383
Ni 5.267 -1.660 6.355
S 6.044 1.751 2.317
Ni 8.139 -1.660 1.374
Ni 4.507 -3.478 2.509
Ni 4.646 0.000 2.678
S 12.117 0.000 2.358
S 4.292 3.472 0.161
Ni 8.761 0.000 5.051
Ni 2.945 1.672 5.220
Ni 5.954 1.806 0.000
S 7.363 -1.751 5.412
Ni 0.000 0.000 0.000
S 10.502 -1.720 4.908
Ni 5.267 1.660 6.355
Ni 2.945 -1.672 5.220
S 2.904 1.720 2.821
Ni 6.703 3.319 3.864
S 1.289 0.000 5.371
S 4.292 -3.472 0.161
Ni 4.507 3.478 2.509
S 10.502 1.720 4.908
S 8.878 0.000 2.784
S 6.044 -1.751 2.317
Ni 2.335 0.000 1.346
S 9.114 3.472 7.568
S 9.114 -3.472 7.568

34
Lattice="1.065 6.391 -3.220 -5.924 -2.289 -3.466 -5.371 4.141 6.444" Properties=species:S:1:pos:R:3 comment="Ni9S8 (PBE, optimized geometry)" de_polymorph_mev_per_atom=0 energy_corrected_mp2020_ev_per_atom=-5.62 e_form_ev_per_atom=-0.611 dft_energy_ev_per_cell=-183.0 pbc="T T T"
Ni -4.215 3.250 5.057
Ni -8.714 2.427 3.087
Ni -4.405 -0.032 -0.002
Ni -2.429 2.051 -3.343
S -6.830 7.202 -1.642
Ni -1.156 0.891 1.386
S -1.204 6.040 -3.280
S -4.607 2.152 -3.371
S -7.168 4.036 -0.217
Ni -5.805 5.882 -0.130
S -4.924 -0.959 -1.883
S -6.899 7.169 1.372
Ni -3.248 3.822 -0.071
S -1.782 3.050 1.456
Ni -5.768 3.396 1.498
S -4.296 5.159 1.455
S -4.894 2.193 3.192
Ni -6.959 1.831 -0.186
Ni -5.564 8.938 1.528
S -4.166 8.240 3.209
S -10.165 3.165 1.469
S -6.954 4.041 -3.491
S -4.233 5.196 -1.638
Ni -1.078 0.910 -1.484
Ni -3.395 6.224 3.102
Ni -0.270 4.765 -1.616
Ni -3.271 6.412 -0.056
S -4.762 2.095 -0.086
S -1.717 3.080 -1.558
Ni -3.781 3.192 -5.203
Ni -5.638 3.386 -1.783
Ni -5.911 0.357 -3.484
S -7.237 4.086 3.071
Ni -2.686 2.071 3.222

6
Lattice="1.751 -2.401 0.971 -5.153 -1.969 1.069 1.520 0.280 -5.403" Properties=species:S:1:pos:R:3 comment="NiS (PBE, optimized geometry)" energy_corrected_mp2020_ev_per_atom=-5.57 e_form_ev_per_atom=-0.611 dft_energy_ev_per_cell=-31.9 pbc="T T T"
Ni 0.198 -2.031 -0.502
S -1.527 -0.951 0.477
S 0.722 -0.193 -1.705
S -1.038 -2.999 -2.113
Ni 1.813 -0.746 -3.592
Ni -3.099 -2.402 1.172

10
Lattice="1.607 -5.547 0.000 1.607 5.547 0.000 0.000 0.000 6.848" Properties=species:S:1:pos:R:3 comment="Ni3S2 (PBE, optimized geometry)" magmom_total_mub_per_cell=0.00 energy_corrected_mp2020_ev_per_atom=-5.56 e_form_ev_per_atom=-0.438 dft_energy_ev_per_cell=-53.6 pbc="T T T"
Ni 1.607 -0.421 5.136
S 1.607 -2.660 5.136
Ni 1.607 0.421 1.712
S 1.607 2.660 1.712
S 0.000 0.000 0.000
S 0.000 0.000 3.424
Ni 1.607 -1.834 0.452
Ni 1.607 1.834 3.876
Ni 1.607 -1.834 2.972
Ni 1.607 1.834 6.396

4
Lattice="0.030 1.009 -3.287 2.874 -1.200 1.457 -1.252 -4.803 -1.487" Properties=species:S:1:pos:R:3 comment="NiS (PBE, optimized geometry)" magmom_total_mub_per_cell=0.00 energy_corrected_mp2020_ev_per_atom=-5.48 e_form_ev_per_atom=-0.521 dft_energy_ev_per_cell=-20.9 pbc="T T T"
Ni -0.626 -2.402 -0.743
S 0.665 -0.928 -2.077
S 0.987 -4.066 -1.239
Ni 0.000 0.000 0.000

5
Lattice="6.976 -1.697 0.000 6.976 1.697 0.000 6.563 0.000 2.910" Properties=species:S:1:pos:R:3 comment="Ni3S2 (PBE, optimized geometry)" magmom_total_mub_per_cell=0.00 energy_corrected_mp2020_ev_per_atom=-5.52 e_form_ev_per_atom=-0.394 dft_energy_ev_per_cell=-26.6 pbc="T T T"
S 18.201 0.000 2.582
S 7.836 0.000 1.112
Ni 2.156 0.000 0.306
Ni 10.463 0.000 1.484
Ni 20.327 0.000 2.884

5
Lattice="-2.615 -0.435 -3.075 -2.288 -2.496 2.239 -2.185 3.143 1.353" Properties=species:S:1:pos:R:3 comment="Ni3S2 (PBE, optimized geometry)" energy_corrected_mp2020_ev_per_atom=-5.69 e_form_ev_per_atom=-0.572 dft_energy_ev_per_cell=-27.5 pbc="T T T"
S -5.283 0.158 0.385
S -1.805 0.054 0.132
Ni -3.627 0.633 -1.103
Ni -3.434 1.022 1.393
Ni -3.570 -1.338 0.486